No. 1
# FeAgO3

FeAgO3 after structural relaxation (GGA+U, Materials Project).

Lattice parameters (Å, degrees): 3.8624 3.8624 3.8624 90.00 90.00 90.00
Last column: nearest neighbours and their distance in Å.
Space group Pm-3m (No. 221)
Asymmetric unit:
Fe 0.0000 0.0000 0.0000 (multiplicity 1)  6 O 1.93
Ag 0.5000 0.5000 0.5000 (multiplicity 1)  12 O 2.73
O 0.0000 0.0000 0.5000 (multiplicity 3)  2 Fe 1.93

Computed properties:
Energy of formation from the pure elements   -0.697 eV/atom
Total energy after the MP2020 corrections   -5.926 eV/atom
Total moment   5.48 Bohr magnetons per cell
E_tot   -25.31 eV for the cell shown



No. 2
# FeAgO2

FeAgO2 after structural relaxation (GGA+U, Materials Project).

Lattice parameters (Å, degrees): 2.9478 2.9478 18.2711 90.00 90.00 120.00
Last column: nearest neighbours and their distance in Å.
Space group R3m (No. 160, hexagonal axes)
Asymmetric unit:
Fe 0.0000 0.0000 0.0000 (multiplicity 3)  6 O 1.95-1.99
Ag 0.0000 0.0000 0.1615 (multiplicity 3)  1 O 2.18
O 0.0000 0.0000 0.2807 (multiplicity 3)  3 Fe 1.95, 1 Ag 2.18
O 0.0000 0.0000 0.7226 (multiplicity 3)  3 Fe 1.99

Computed properties:
Energy of formation from the pure elements   -1.058 eV/atom
Total energy after the MP2020 corrections   -6.358 eV/atom
Total moment   15.00 Bohr magnetons per cell
E_tot   -65.40 eV for the cell shown



No. 3
# FeAgO2

FeAgO2 after structural relaxation (GGA+U, Materials Project).

Lattice parameters (Å, degrees): 3.0826 3.0826 12.5907 90.00 90.00 120.00
Last column: nearest neighbours and their distance in Å.
Space group P6_3/mmc (No. 194)
Asymmetric unit:
Fe 0.0000 0.0000 0.0000 (multiplicity 2)  6 O 2.06
Ag 0.3333 0.6667 0.2500 (multiplicity 2)  2 O 2.12
O 0.3333 0.6667 0.0819 (multiplicity 4)  3 Fe 2.06, 1 Ag 2.12

Computed properties:
Energy of formation from the pure elements   -1.216 eV/atom
Total energy after the MP2020 corrections   -6.515 eV/atom
E_tot   -44.86 eV for the cell shown